[1]
Compound: Mg7Fe
Source: the Materials Project database
Functional: PBE
Structure: optimized geometry

Cell lengths 6.130, 6.130, 4.909 Å; angles 90.00, 90.00, 120.00 degrees
Positions (direct):
Mg 0.843 0.157 0.500
Mg 0.500 0.500 0.000
Mg 0.843 0.686 0.500
Mg 0.999 0.500 0.000
Mg 0.333 0.667 0.500
Mg 0.314 0.157 0.500
Mg 0.500 0.001 0.000
Fe 0.000 0.000 0.000

The energy of formation from the pure elements is 147.5 meV per atom. The value obtained for the calculated volume is 19.97 Å³/atom. Its total magnetization is 0.2995 μB/atom. As for the space group: P-6m2, No. 187.

[2]
Compound: Mg3Fe
Source: the Materials Project database
Functional: PBE
Structure: optimized geometry

Cell lengths 5.930, 5.930, 4.844 Å; angles 90.00, 90.00, 120.00 degrees
Positions (direct):
Fe 0.667 0.333 0.250
Fe 0.333 0.667 0.750
Mg 0.173 0.827 0.250
Mg 0.827 0.173 0.750
Mg 0.173 0.346 0.250
Mg 0.346 0.173 0.750
Mg 0.654 0.827 0.250
Mg 0.827 0.654 0.750

The energy of formation from the pure elements is 219.6 meV per atom. The value obtained for the calculated volume is 18.44 Å³/atom. Its total magnetization is 0.5376 μB/atom. As for the space group: P6_3/mmc, No. 194.

[3]
Compound: Mg15Fe
Source: the Materials Project database
Functional: PBE
Structure: optimized geometry

Cell lengths 6.305, 6.305, 9.940 Å; angles 90.00, 90.00, 120.00 degrees
Positions (direct):
Mg 0.681 0.841 0.266
Mg 0.995 0.497 0.500
Mg 0.667 0.333 0.753
Mg 0.159 0.841 0.734
Mg 0.498 0.502 0.000
Mg 0.503 0.497 0.500
Mg 0.667 0.333 0.247
Mg 0.681 0.841 0.734
Mg 0.000 0.000 0.000
Mg 0.004 0.502 0.000
Mg 0.159 0.841 0.266
Mg 0.159 0.319 0.266
Mg 0.159 0.319 0.734
Mg 0.498 0.996 0.000
Mg 0.503 0.005 0.500
Fe 0.000 0.000 0.500

The energy of formation from the pure elements is 79.5 meV per atom. The value obtained for the calculated volume is 21.39 Å³/atom. Its total magnetization is 0.1386 μB/atom. As for the space group: P-6m2, No. 187.

[4]
Compound: Mg3Fe
Source: the Materials Project database
Functional: PBE
Structure: optimized geometry

Cell lengths 2.933, 4.670, 5.149 Å; angles 90.00, 90.00, 90.00 degrees
Positions (direct):
Mg 0.000 0.500 0.858
Mg 0.500 0.500 0.320
Mg 0.500 0.000 0.663
Fe 0.000 0.000 0.159

The energy of formation from the pure elements is 261.4 meV per atom. The value obtained for the calculated volume is 17.63 Å³/atom. Its total magnetization is 0.5585 μB/atom. As for the space group: Pmm2, No. 25.

[5]
Compound: Mg6MnFe
Source: the Materials Project database
Functional: PBE
Structure: optimized geometry

Cell lengths 4.856, 6.036, 10.503 Å; angles 90.00, 90.00, 90.00 degrees
Positions (direct):
Mg 0.000 0.746 0.089
Mg 0.000 0.246 0.589
Mg 0.500 0.750 0.917
Mg 0.500 0.750 0.417
Mg 0.000 0.000 0.826
Mg 0.000 0.254 0.089
Mg 0.000 0.500 0.326
Mg 0.500 0.250 0.417
Mg 0.000 0.754 0.589
Mg 0.000 0.000 0.328
Mg 0.500 0.250 0.917
Mg 0.000 0.500 0.828
Mn 0.500 0.500 0.666
Mn 0.500 0.000 0.166
Fe 0.500 0.000 0.668
Fe 0.500 0.500 0.168

The energy of formation from the pure elements is 228.7 meV per atom. The value obtained for the calculated volume is 19.24 Å³/atom. Its total magnetization is 0.7625 μB/atom. The offset from the most stable computed form comes out at 19 meV per atom.

[6]
Compound: Mg6MnFe
Source: the Materials Project database
Functional: PBE
Structure: optimized geometry

Cell lengths 4.810, 6.058, 10.635 Å; angles 90.00, 90.00, 90.00 degrees
Positions (direct):
Mg 0.000 0.238 0.589
Mg 0.000 0.262 0.089
Mg 0.000 0.762 0.589
Mg 0.500 0.500 0.667
Mg 0.000 0.500 0.834
Mg 0.000 0.738 0.089
Mg 0.500 0.239 0.911
Mg 0.500 0.261 0.411
Mg 0.500 0.739 0.411
Mg 0.500 0.761 0.911
Mg 0.500 0.000 0.167
Mg 0.000 0.000 0.334
Mn 0.000 0.000 0.821
Mn 0.000 0.500 0.321
Fe 0.500 0.000 0.679
Fe 0.500 0.500 0.179

The energy of formation from the pure elements is 209.8 meV per atom. The value obtained for the calculated volume is 19.37 Å³/atom. Its total magnetization is 0.7576 μB/atom. The offset from the most stable computed form comes out at 0 meV per atom.

[7]
Compound: Mg6FeMo
Source: the Materials Project database
Functional: PBE
Structure: optimized geometry

Cell lengths 6.054, 6.054, 4.817 Å; angles 90.00, 90.00, 121.44 degrees
Positions (direct):
Mg 0.658 0.838 0.000
Mg 0.162 0.342 0.000
Mg 0.833 0.670 0.500
Mg 0.677 0.323 0.000
Mg 0.330 0.167 0.500
Mg 0.177 0.823 0.000
Mo 0.330 0.670 0.500
Fe 0.833 0.167 0.500

The energy of formation from the pure elements is 314.6 meV per atom. The value obtained for the calculated volume is 18.83 Å³/atom. Its total magnetization is 0.2174 μB/atom. As for the space group: Amm2, No. 38. The offset from the most stable computed form comes out at 56 meV per atom.

[8]
Compound: Mg6FeMo
Source: the Materials Project database
Functional: PBE
Structure: optimized geometry

Cell lengths 4.716, 5.921, 10.792 Å; angles 90.00, 90.00, 90.00 degrees
Positions (direct):
Mg 0.500 0.000 0.170
Mg 0.500 0.500 0.670
Mg 0.500 0.241 0.921
Mg 0.000 0.761 0.583
Mg 0.000 0.739 0.083
Mg 0.000 0.000 0.330
Mg 0.500 0.741 0.421
Mg 0.000 0.239 0.583
Mg 0.000 0.261 0.083
Mg 0.500 0.759 0.921
Mg 0.500 0.259 0.421
Mg 0.000 0.500 0.830
Fe 0.000 0.000 0.805
Fe 0.000 0.500 0.305
Mo 0.500 0.500 0.187
Mo 0.500 0.000 0.687

The energy of formation from the pure elements is 258.2 meV per atom. The value obtained for the calculated volume is 18.83 Å³/atom. Its total magnetization is 0.2157 μB/atom. The offset from the most stable computed form comes out at 0 meV per atom.

[9]
Compound: MgFeMoS4
Source: the Materials Project database
Functional: PBE
Structure: optimized geometry

Cell lengths 7.258, 7.123, 7.131 Å; angles 58.15, 59.52, 59.49 degrees
Positions (direct):
S 0.241 0.270 0.270
S 0.743 0.299 0.716
S 0.743 0.717 0.299
S 0.719 0.269 0.269
S 0.257 0.283 0.701
S 0.759 0.730 0.730
S 0.281 0.731 0.731
S 0.257 0.701 0.284
Mg 0.129 0.120 0.119
Mg 0.871 0.880 0.881
Fe 0.500 0.500 0.500
Fe 0.000 0.500 0.500
Mo 0.500 0.500 0.000
Mo 0.500 0.000 0.500

The energy of formation from the pure elements is -857.5 meV per atom. The value obtained for the calculated volume is 18.21 Å³/atom. Its total magnetization is 0.3591 μB/atom. As for the space group: P-1, No. 2.

[10]
Compound: MgFeMo6S8
Source: the Materials Project database
Functional: PBE
Structure: optimized geometry

Cell lengths 6.662, 6.586, 6.651 Å; angles 96.14, 97.07, 93.28 degrees
Positions (direct):
S 0.616 0.875 0.287
S 0.868 0.285 0.615
S 0.121 0.739 0.369
S 0.284 0.652 0.860
S 0.373 0.150 0.707
S 0.696 0.376 0.132
S 0.197 0.210 0.202
S 0.797 0.792 0.804
Mo 0.537 0.238 0.406
Mo 0.765 0.598 0.459
Mo 0.587 0.466 0.767
Mo 0.452 0.789 0.586
Mo 0.402 0.560 0.223
Mo 0.220 0.422 0.534
Fe 0.092 0.864 0.050
Mg 0.004 0.422 0.969

The energy of formation from the pure elements is -904.1 meV per atom. The value obtained for the calculated volume is 17.95 Å³/atom. Its total magnetization is 0.2500 μB/atom. As for the space group: P1, No. 1.

[11]
Compound: MgFe5N4
Source: the Materials Project database
Functional: PBE
Structure: optimized geometry

Cell lengths 7.265, 6.044, 4.539 Å; angles 90.00, 90.00, 90.00 degrees
Positions (direct):
N 0.750 0.966 0.979
N 0.250 0.466 0.021
N 0.974 0.750 0.456
N 0.026 0.250 0.544
N 0.474 0.250 0.544
N 0.250 0.034 0.021
N 0.526 0.750 0.456
N 0.750 0.534 0.979
Fe 0.250 0.250 0.312
Fe 0.926 0.034 0.254
Fe 0.074 0.534 0.746
Fe 0.574 0.466 0.254
Fe 0.426 0.966 0.746
Fe 0.926 0.466 0.254
Fe 0.426 0.534 0.746
Fe 0.074 0.966 0.746
Fe 0.574 0.034 0.254
Fe 0.750 0.750 0.688
Mg 0.250 0.750 0.276
Mg 0.750 0.250 0.724

The energy of formation from the pure elements is -150.7 meV per atom. The value obtained for the calculated volume is 9.97 Å³/atom. Its total magnetization is 0.5854 μB/atom. As for the space group: Pmmn, No. 59.

[12]
Compound: MgFe2N2
Source: the Materials Project database
Functional: PBE
Structure: optimized geometry

Cell lengths 3.527, 3.527, 4.987 Å; angles 90.00, 90.00, 90.00 degrees
Positions (direct):
Fe 0.500 0.500 0.731
Fe 0.500 0.500 0.269
N 0.000 0.500 0.740
N 0.500 0.000 0.260
Mg 0.000 0.000 0.000

The energy of formation from the pure elements is 13.2 meV per atom. The value obtained for the calculated volume is 12.41 Å³/atom. Its total magnetization is 0.5845 μB/atom. As for the space group: P-4m2, No. 115.

[13]
Compound: Mg8Fe3N8
Source: the Materials Project database
Functional: PBE
Structure: optimized geometry

Cell lengths 8.606, 4.358, 6.567 Å; angles 90.00, 74.98, 75.33 degrees
Positions (direct):
Mg 0.178 0.411 0.031
Mg 0.684 0.658 0.472
Mg 0.316 0.342 0.528
Mg 0.055 0.972 0.758
Mg 0.822 0.589 0.969
Mg 0.391 0.805 0.192
Mg 0.945 0.028 0.242
Mg 0.609 0.195 0.808
N 0.580 0.710 0.822
N 0.796 0.102 0.989
N 0.420 0.290 0.178
N 0.338 0.831 0.538
N 0.662 0.169 0.462
N 0.204 0.898 0.011
N 0.937 0.532 0.253
N 0.063 0.468 0.747
Fe 0.000 0.500 0.500
Fe 0.378 0.811 0.784
Fe 0.622 0.189 0.216

The energy of formation from the pure elements is -589.6 meV per atom. The value obtained for the calculated volume is 12.08 Å³/atom. Its total magnetization is 0.4181 μB/atom. As for the space group: C2/m, No. 12.

[14]
Compound: Mg3FeN3
Source: the Materials Project database
Functional: PBE
Structure: optimized geometry

Cell lengths 6.317, 6.133, 4.336 Å; angles 90.00, 90.00, 101.09 degrees
Positions (direct):
Fe 0.318 0.698 0.250
Fe 0.682 0.302 0.750
Mg 0.885 0.095 0.250
Mg 0.115 0.905 0.750
Mg 0.371 0.189 0.250
Mg 0.629 0.811 0.750
Mg 0.133 0.395 0.750
Mg 0.867 0.605 0.250
N 0.871 0.111 0.750
N 0.851 0.580 0.750
N 0.399 0.193 0.750
N 0.129 0.889 0.250
N 0.601 0.807 0.250
N 0.149 0.420 0.250

The energy of formation from the pure elements is -653.2 meV per atom. The value obtained for the calculated volume is 11.78 Å³/atom. Its total magnetization is 0.4287 μB/atom. As for the space group: P2_1/m, No. 11.

[15]
Compound: MgFeN
Source: the Materials Project database
Functional: PBE
Structure: optimized geometry

Cell lengths 7.669, 3.522, 5.587 Å; angles 90.00, 90.00, 90.00 degrees
Positions (direct):
N 0.949 0.250 0.303
N 0.551 0.750 0.803
N 0.051 0.750 0.697
N 0.449 0.250 0.197
Mg 0.821 0.750 0.915
Mg 0.179 0.250 0.085
Mg 0.679 0.250 0.415
Mg 0.321 0.750 0.585
Fe 0.461 0.750 0.139
Fe 0.961 0.750 0.361
Fe 0.039 0.250 0.639
Fe 0.539 0.250 0.861

The energy of formation from the pure elements is -304.8 meV per atom. The value obtained for the calculated volume is 12.58 Å³/atom. Its total magnetization is 0.1677 μB/atom. As for the space group: Pnma, No. 62.

[16]
Compound: Mg5FeN4
Source: the Materials Project database
Functional: PBE
Structure: optimized geometry

Cell lengths 7.148, 6.711, 5.196 Å; angles 90.00, 90.00, 90.00 degrees
Positions (direct):
Mg 0.552 0.503 0.249
Mg 0.052 0.003 0.751
Mg 0.750 0.750 0.720
Mg 0.448 0.497 0.751
Mg 0.448 0.003 0.751
Mg 0.552 0.997 0.249
Mg 0.948 0.997 0.249
Mg 0.052 0.497 0.751
Mg 0.250 0.250 0.280
Mg 0.948 0.503 0.249
N 0.250 0.995 0.050
N 0.000 0.250 0.496
N 0.250 0.505 0.050
N 0.500 0.750 0.504
N 0.750 0.005 0.950
N 0.750 0.495 0.950
N 0.000 0.750 0.504
N 0.500 0.250 0.496
Fe 0.250 0.750 0.288
Fe 0.750 0.250 0.712

The energy of formation from the pure elements is -578.9 meV per atom. The value obtained for the calculated volume is 12.46 Å³/atom. Its total magnetization is 0.4020 μB/atom. As for the space group: Pmmn, No. 59.

[17]
Compound: NaMg6Fe
Source: the Materials Project database
Functional: PBE
Structure: optimized geometry

Cell lengths 4.969, 6.319, 10.702 Å; angles 90.00, 90.00, 90.00 degrees
Positions (direct):
Mg 0.500 0.230 0.906
Mg 0.000 0.255 0.582
Mg 0.500 0.000 0.164
Mg 0.000 0.000 0.337
Mg 0.500 0.730 0.406
Mg 0.000 0.745 0.582
Mg 0.000 0.500 0.837
Mg 0.000 0.245 0.082
Mg 0.500 0.270 0.406
Mg 0.500 0.500 0.664
Mg 0.000 0.755 0.082
Mg 0.500 0.770 0.906
Na 0.500 0.500 0.166
Na 0.500 0.000 0.666
Fe 0.000 0.000 0.859
Fe 0.000 0.500 0.359

The energy of formation from the pure elements is 230.9 meV per atom. The value obtained for the calculated volume is 21.00 Å³/atom. Its total magnetization is 0.3171 μB/atom.

[18]
Compound: NaMg6Fe
Source: the Materials Project database
Functional: PBE
Structure: optimized geometry

Cell lengths 4.983, 6.546, 10.609 Å; angles 90.00, 90.00, 90.00 degrees
Positions (direct):
Fe 0.500 0.500 0.342
Fe 0.500 0.000 0.842
Mg 0.500 0.750 0.087
Mg 0.000 0.500 0.660
Mg 0.000 0.769 0.909
Mg 0.000 0.500 0.167
Mg 0.500 0.750 0.587
Mg 0.000 0.269 0.409
Mg 0.000 0.000 0.160
Mg 0.500 0.250 0.087
Mg 0.000 0.231 0.909
Mg 0.500 0.250 0.587
Mg 0.000 0.731 0.409
Mg 0.000 0.000 0.667
Na 0.500 0.000 0.339
Na 0.500 0.500 0.839

The energy of formation from the pure elements is 229.6 meV per atom. The value obtained for the calculated volume is 21.63 Å³/atom. Its total magnetization is 0.3113 μB/atom.

[19]
Compound: Mg6NbFe
Source: the Materials Project database
Functional: PBE
Structure: optimized geometry

Cell lengths 4.831, 5.726, 10.909 Å; angles 90.00, 90.00, 90.00 degrees
Positions (direct):
Mg 0.500 0.751 0.926
Mg 0.000 0.249 0.085
Mg 0.000 0.500 0.326
Mg 0.000 0.251 0.585
Mg 0.000 0.749 0.585
Mg 0.500 0.749 0.426
Mg 0.000 0.500 0.808
Mg 0.000 0.000 0.826
Mg 0.500 0.249 0.926
Mg 0.500 0.251 0.426
Mg 0.000 0.751 0.085
Mg 0.000 0.000 0.308
Nb 0.500 0.000 0.679
Nb 0.500 0.500 0.179
Fe 0.500 0.500 0.667
Fe 0.500 0.000 0.167

The energy of formation from the pure elements is 276.6 meV per atom. The value obtained for the calculated volume is 18.86 Å³/atom. Its total magnetization is 0.2058 μB/atom. The offset from the most stable computed form comes out at 63 meV per atom.